A plane-wave DFT calculation with PBE-GGA was carried out for Cd2Te2O7 after structural relaxation.

Summary:
Crystal system ... triclinic
Energy of formation ... -1.52 eV/atom
SG ... P-1 (2)

POSCAR file:
```
Cd2Te2O7
1.0
7.5488 0.0000 0.0000
1.8865 8.2951 0.0000
1.9592 0.1650 9.9387
Cd O Te
8 28 8
Direct
0.2563 0.4908 0.4919 Cd
0.0000 0.0000 0.0000 Cd
0.5000 0.0000 0.0000 Cd
0.8094 0.6518 0.1099 Cd
0.6925 0.3758 0.8865 Cd
0.3075 0.6242 0.1135 Cd
0.1906 0.3482 0.8901 Cd
0.7437 0.5092 0.5081 Cd
0.6423 0.6660 0.7757 O
0.3190 0.8453 0.9346 O
0.5888 0.0628 0.3364 O
0.4112 0.9372 0.6636 O
0.4297 0.6148 0.6063 O
0.2321 0.2885 0.6432 O
0.6810 0.1547 0.0654 O
0.6322 0.4675 0.1119 O
0.0424 0.3526 0.4122 O
0.7903 0.9498 0.6707 O
0.7935 0.8464 0.9326 O
0.3577 0.3340 0.2243 O
0.0629 0.4634 0.1329 O
0.9964 0.1810 0.8382 O
0.4949 0.1818 0.8268 O
0.2065 0.1536 0.0674 O
0.7679 0.7115 0.3568 O
0.7985 0.3064 0.6574 O
0.2097 0.0502 0.3293 O
0.1139 0.8063 0.7558 O
0.9371 0.5366 0.8671 O
0.0036 0.8190 0.1618 O
0.9576 0.6474 0.5878 O
0.5051 0.8182 0.1732 O
0.2015 0.6936 0.3426 O
0.8861 0.1937 0.2442 O
0.5703 0.3852 0.3937 O
0.3678 0.5325 0.8881 O
0.0417 0.1678 0.6459 Te
0.4408 0.8987 0.3494 Te
0.3766 0.7241 0.7721 Te
0.8802 0.7315 0.7655 Te
0.9583 0.8322 0.3541 Te
0.5592 0.1013 0.6506 Te
0.6234 0.2759 0.2279 Te
0.1198 0.2685 0.2345 Te
```

A plane-wave DFT calculation with PBE-GGA was carried out for Cd2Te3O9 after structural relaxation.

Summary:
Crystal system ... monoclinic
Magnetic moment ... 0.0 μB/f.u.
Energy of formation ... -1.51 eV/atom
SG ... P2_1/c (14)

POSCAR file:
```
Cd2Te3O9
1.0
-2.1474 3.9736 -5.8924
-8.2749 -4.6852 -0.1439
-10.8605 4.1730 6.7721
O Te Cd
36 12 8
Direct
0.3118 0.0856 0.5817 O
0.8808 0.2201 0.7139 O
0.5649 0.0778 0.0808 O
0.6608 0.3320 0.8430 O
0.3808 0.7799 0.7861 O
0.4182 0.3480 0.3385 O
0.3762 0.9641 0.3075 O
0.1317 0.5889 0.0298 O
0.1192 0.7799 0.2861 O
0.6203 0.5923 0.0360 O
0.0818 0.3480 0.8385 O
0.6317 0.4111 0.4702 O
0.3694 0.2234 0.7169 O
0.6238 0.0359 0.6925 O
0.4351 0.9222 0.9192 O
0.5818 0.6520 0.6615 O
0.8694 0.7766 0.7831 O
0.8392 0.3320 0.3430 O
0.3392 0.6680 0.1570 O
0.8683 0.4111 0.9702 O
0.1238 0.9641 0.8075 O
0.0649 0.9222 0.4192 O
0.9182 0.6520 0.1615 O
0.8797 0.5923 0.5360 O
0.1203 0.4077 0.4640 O
0.6192 0.2201 0.2139 O
0.1608 0.6680 0.6570 O
0.8118 0.9144 0.9183 O
0.6306 0.7766 0.2831 O
0.6882 0.9144 0.4183 O
0.3683 0.5889 0.5298 O
0.3797 0.4077 0.9640 O
0.1882 0.0856 0.0817 O
0.1306 0.2234 0.2169 O
0.8762 0.0359 0.1925 O
0.9351 0.0778 0.5808 O
0.8789 0.7879 0.5399 Te
0.1262 0.0020 0.2500 Te
0.8762 0.2376 0.9387 Te
0.6211 0.7879 0.0399 Te
0.6262 0.9980 0.2500 Te
0.3738 0.0020 0.7500 Te
0.1211 0.2121 0.4601 Te
0.6238 0.2376 0.4387 Te
0.1238 0.7624 0.0613 Te
0.3789 0.2121 0.9601 Te
0.3762 0.7624 0.5613 Te
0.8738 0.9980 0.7500 Te
0.8748 0.5954 0.3528 Cd
0.8760 0.3984 0.1475 Cd
0.3748 0.4046 0.1472 Cd
0.1240 0.6016 0.8525 Cd
0.3760 0.6016 0.3525 Cd
0.6240 0.3984 0.6475 Cd
0.6252 0.5954 0.8528 Cd
0.1252 0.4046 0.6472 Cd
```

A plane-wave DFT calculation with PBE-GGA was carried out for TiCdO3 after structural relaxation.

Summary:
Crystal system ... trigonal
Energy of formation ... -2.68 eV/atom
SG ... R-3 (148)

POSCAR file:
```
TiCdO3
1.0
5.2626 -2.6533 0.0000
5.2626 2.6533 0.0000
3.9249 0.0000 4.3966
Ti O Cd
2 6 2
Direct
0.8508 0.8508 0.8508 Ti
0.1492 0.1492 0.1492 Ti
0.9633 0.1945 0.5629 O
0.8055 0.4371 0.0367 O
0.0367 0.8055 0.4371 O
0.1945 0.5629 0.9633 O
0.5629 0.9633 0.1945 O
0.4371 0.0367 0.8055 O
0.3633 0.3633 0.3633 Cd
0.6367 0.6367 0.6367 Cd
```

> Look up the energy of formation of the first one.

-1.52 eV/atom